Record 1
Compound: ZrH11C4NOF5
Source: the Materials Project database
Functional: PBE
Structure: relaxed

Unit cell a=9.867 b=19.319 c=10.160 alpha=90.00 beta=90.00 gamma=90.00
Space group Pbca (No. 61)
Unique sites:
Zr (0.091, 0.080, 0.032)
H (0.019, 0.065, 0.641)
H (0.027, 0.175, 0.349)
H (0.032, 0.575, 0.028)
H (0.036, 0.697, 0.791)
H (0.121, 0.699, 0.963)
H (0.137, 0.240, 0.418)
H (0.144, 0.056, 0.511)
H (0.181, 0.149, 0.733)
H (0.202, 0.155, 0.373)
H (0.207, 0.644, 0.594)
H (0.223, 0.226, 0.641)
C (0.034, 0.692, 0.898)
C (0.051, 0.082, 0.543)
C (0.115, 0.184, 0.411)
C (0.205, 0.170, 0.636)
N (0.084, 0.159, 0.548)
O (0.241, 0.050, 0.189)
F (0.035, 0.156, 0.902)
F (0.039, 0.608, 0.328)
F (0.062, 0.529, 0.588)
F (0.222, 0.159, 0.095)
F (0.248, 0.045, 0.922)



Record 2
Compound: LiAl2H6BrO6
Source: the Materials Project database
Functional: PBE
Structure: relaxed

Unit cell a=5.2035 b=5.2035 c=14.5320 alpha=90.00 beta=90.00 gamma=120.00
Space group P6_3/mcm (No. 193)
Unique sites:
Li (0.0000, 0.0000, 0.0000)
Al (0.3333, 0.6667, 0.0000)
H (0.0000, 0.3145, 0.1318)
Br (0.0000, 0.0000, 0.2500)
O (0.0000, 0.3691, 0.0670)



Record 3
Compound: Re2O9
Source: the Materials Project database
Functional: PBE
Structure: relaxed

Unit cell a=5.122 b=8.953 c=8.636 alpha=90.00 beta=103.33 gamma=90.00
Space group P2_1/m (No. 11)
Unique sites:
Re (0.033, 0.250, 0.051)
Re (0.362, 0.750, 0.398)
O (0.169, 0.750, 0.152)
O (0.171, 0.750, 0.814)
O (0.175, 0.594, 0.431)
O (0.238, 0.092, 0.084)
O (0.357, 0.250, 0.442)
O (0.396, 0.133, 0.728)



Record 4
Compound: As
Source: the Materials Project database
Functional: PBE
Structure: relaxed

Unit cell a=3.8279 b=3.8279 c=10.6167 alpha=90.00 beta=90.00 gamma=120.00
Space group R-3m (No. 166, hexagonal axes)
Unique sites:
As (0.0000, 0.0000, 0.2273)

Properties
Offset from the most stable computed form = 0.0000 eV per atom



Record 5
Compound: BaO10
Source: the Materials Project database
Functional: PBE
Structure: relaxed

Unit cell a=5.925 b=5.925 c=9.557 alpha=90.00 beta=90.00 gamma=90.00
Space group P4/mcc (No. 124)
Unique sites:
Ba (0.000, 0.000, 0.250)
O (0.106, 0.357, 0.067)
O (0.500, 0.500, 0.185)

Properties
Offset from the most stable computed form = 0.0000 eV per atom



Record 6
Compound: ZnCuN
Source: the Materials Project database
Functional: PBE
Structure: relaxed

Unit cell a=3.742 b=3.372 c=6.371 alpha=90.00 beta=90.00 gamma=90.00
Space group Amm2 (No. 38)
Unique sites:
Zn (0.000, 0.000, 0.000)
Cu (0.500, 0.000, 0.304)
N (0.500, 0.000, 0.991)



no.,density (g cm⁻³),formation enthalpy at 0 K (eV per atom),VASP energy (eV/cell)
1,1.89,-0.959,-997.6
2,2.37,-2.019,-178.5
3,4.45,-1.318,-155.5
4,5.54,0.000,-28.0
5,2.94,-0.602,-112.8
6,5.91,0.302,-24.9